1.
First-principles (PBE+U) data for Ba2MgZnWO6 after structural relaxation, as listed in the Materials Project.

Unit cell a=6.4621 b=7.2057 c=7.2057 alpha=50.74 beta=54.10 gamma=54.10
Closest atoms and distances in Å follow each position.
Fractional positions:
W (0.1107, 0.0549, 0.0549)  3 O 1.81-1.84
Ba (0.6985, 0.6788, 0.6788)  3 O 2.62-2.66
Zn (0.4675, 0.5348, 0.5348)  3 O 2.01-2.02
Mg (0.8770, 0.9174, 0.9174)  3 O 1.89-1.92
O (0.2774, 0.2424, 0.7177)  1 W 1.84
O (0.2774, 0.7177, 0.2424)  1 W 1.84
O (0.2207, 0.7370, 0.7370)  1 Mg 1.92, 1 Zn 2.01
O (0.7426, 0.2726, 0.7147)  1 Mg 1.89, 1 Zn 2.02
O (0.7529, 0.2033, 0.2033)  1 W 1.81
Ba (0.1973, 0.3013, 0.3013)  3 O 2.69-2.93
O (0.7426, 0.7147, 0.2726)  1 Mg 1.89, 1 Zn 2.02

Values from the calculation:
The crystal system is monoclinic. As for the energy relative to the lowest polymorph listed for this composition: 0.1928 eV per atom. The value obtained for the magnetic moment is 0.00 μB per formula unit.

***

2.
First-principles (PBE+U) data for MgTl4Mo2O8 after structural relaxation, as listed in the Materials Project.

Unit cell a=6.3731 b=6.8179 c=8.2690 alpha=85.47 beta=90.24 gamma=63.38
Closest atoms and distances in Å follow each position.
Fractional positions:
O (0.2746, 0.6214, 0.2274)  1 Mo 1.86
Tl (0.9921, 0.0072, 0.9632)  3 O 2.62-2.74
Tl (0.3051, 0.3608, 0.8184)  3 O 2.70-2.86
Mo (0.6596, 0.6632, 0.7286)  4 O 1.82-1.94
Mg (0.8702, 0.3599, 0.4838)  4 O 1.95-2.02
O (0.8635, 0.7434, 0.8252)  1 Mo 1.82
O (0.4039, 0.1484, 0.1192)  1 Mo 1.86
Tl (0.0355, 0.8236, 0.4781)  3 O 2.67-2.76
Tl (0.6137, 0.7311, 0.1699)  3 O 2.54-2.71
Mo (0.3966, 0.3201, 0.2857)  4 O 1.86-1.89
O (0.8135, 0.3476, 0.7229)  1 Mo 1.93, 1 Mg 2.01
O (0.6940, 0.6890, 0.4958)  1 Mo 1.94, 1 Mg 2.02
O (0.7137, 0.2371, 0.3477)  1 Mo 1.89, 1 Mg 1.96
O (0.3593, 0.7500, 0.7921)  1 Mo 1.83
O (0.1919, 0.3014, 0.4404)  1 Mo 1.87, 1 Mg 1.95

Values from the calculation:
The crystal system is triclinic. As for the energy relative to the lowest polymorph listed for this composition: 0.0000 eV per atom. The value obtained for the magnetic moment is 2.02 μB per formula unit.

***

3.
First-principles (PBE+U) data for Li2VC2O6 after structural relaxation, as listed in the Materials Project.

Unit cell a=7.8745 b=7.8782 c=8.4805 alpha=68.81 beta=68.82 gamma=76.90
Closest atoms and distances in Å follow each position.
Fractional positions:
C (0.1194, 0.6211, 0.0889)  3 O 1.30
C (0.3807, 0.8908, 0.9104)  3 O 1.29-1.30
O (0.2403, 0.5036, 0.5660)  1 C 1.30
Li (0.1808, 0.7434, 0.6004)  3 O 1.94-2.05
V (0.5000, 0.0000, 0.5000)  6 O 2.16-2.17
C (0.8641, 0.8706, 0.5851)  3 O 1.30-1.31
C (0.6299, 0.6293, 0.4134)  3 O 1.30
O (0.0163, 0.2501, 0.9209)  1 C 1.30
Li (0.0731, 0.0745, 0.7846)  3 O 1.98-2.00
O (0.0773, 0.1887, 0.2778)  1 C 1.30
O (0.8197, 0.4298, 0.7752)  1 C 1.30
C (0.1359, 0.1294, 0.4149)  3 O 1.30-1.31
O (0.7597, 0.4964, 0.4340)  1 C 1.30
O (0.9837, 0.7499, 0.0791)  1 C 1.30
O (0.1803, 0.5702, 0.2248)  1 C 1.30
Li (0.3424, 0.7354, 0.2287)  3 O 1.95-2.03
O (0.1978, 0.5489, 0.9608)  1 C 1.30
O (0.2622, 0.9925, 0.4316)  1 C 1.30
C (0.8806, 0.3789, 0.9111)  3 O 1.30
Li (0.4521, 0.6181, 0.7984)  3 O 1.97-2.04
C (0.3701, 0.3707, 0.5866)  3 O 1.30
Li (0.8192, 0.2566, 0.3996)  3 O 1.94-2.05
O (0.4523, 0.2921, 0.4635)  1 C 1.30
O (0.6965, 0.0366, 0.9625)  1 C 1.29
V (0.0000, 0.5000, 0.5000)  6 O 2.17-2.19
Li (0.9269, 0.9255, 0.2154)  3 O 1.98-2.00
O (0.5477, 0.7079, 0.5365)  1 C 1.30
O (0.9431, 0.7951, 0.4586)  1 C 1.31
O (0.3035, 0.9634, 0.0375)  1 C 1.29
O (0.7378, 0.0075, 0.5684)  1 C 1.30
O (0.6759, 0.0574, 0.2276)  1 C 1.30
V (0.7558, 0.7459, 0.9958)  6 O 2.15-2.21
O (0.5791, 0.6802, 0.2718)  1 C 1.30
C (0.6193, 0.1092, 0.0896)  3 O 1.29-1.30
Li (0.5479, 0.3819, 0.2016)  3 O 1.97-2.04
O (0.9227, 0.8113, 0.7222)  1 C 1.30
O (0.5085, 0.7536, 0.9277)  1 C 1.30
Li (0.6576, 0.2646, 0.7713)  3 O 1.95-2.03
O (0.0569, 0.2049, 0.5414)  1 C 1.31
O (0.4209, 0.3198, 0.7282)  1 C 1.30
V (0.2442, 0.2541, 0.0042)  6 O 2.15-2.21
O (0.8022, 0.4511, 0.0392)  1 C 1.30
O (0.3241, 0.9426, 0.7724)  1 C 1.30
O (0.4915, 0.2464, 0.0723)  1 C 1.30

Values from the calculation:
The crystal system is triclinic. As for the energy relative to the lowest polymorph listed for this composition: 0.0313 eV per atom. The value obtained for the magnetic moment is 3.00 μB per formula unit.

***

4.
First-principles (PBE+U) data for Na2CoP2O7 after structural relaxation, as listed in the Materials Project.

Unit cell a=7.8032 b=10.4380 c=15.6369 alpha=90.00 beta=90.00 gamma=90.00
Closest atoms and distances in Å follow each position.
Fractional positions:
O (0.1748, 0.9004, 0.9350)  1 P 1.52
Na (0.8841, 0.7502, 0.9484)  6 O 2.50-2.77
Na (0.7178, 0.7340, 0.2263)  5 O 2.35-2.61
Na (0.7178, 0.7660, 0.7263)  5 O 2.35-2.61
Na (0.6667, 0.2629, 0.6961)  5 O 2.47-2.67
O (0.4064, 0.8887, 0.2798)  1 P 1.54
O (0.6482, 0.1114, 0.5480)  1 P 1.52
P (0.6475, 0.9663, 0.5528)  4 O 1.52-1.64
Na (0.1667, 0.7371, 0.3039)  5 O 2.47-2.67
O (0.3819, 0.0953, 0.1880)  1 P 1.52
P (0.8862, 0.0235, 0.3043)  4 O 1.52-1.65
O (0.1102, 0.3979, 0.0328)  1 P 1.54
O (0.0878, 0.3949, 0.5182)  1 P 1.54
O (0.8471, 0.8891, 0.0770)  1 P 1.54
P (0.6725, 0.5455, 0.5616)  4 O 1.52-1.64
Na (0.3841, 0.2502, 0.5516)  6 O 2.50-2.77
O (0.1748, 0.5996, 0.4350)  1 P 1.52
O (0.6748, 0.4004, 0.5650)  1 P 1.52
P (0.1725, 0.4545, 0.4384)  4 O 1.52-1.64
P (0.1475, 0.4663, 0.9472)  4 O 1.52-1.64
O (0.8471, 0.6109, 0.5770)  1 P 1.54
Na (0.8277, 0.2466, 0.9750)  5 O 2.34-2.60
O (0.3943, 0.1217, 0.6940)  1 P 1.52
P (0.3862, 0.9765, 0.6957)  4 O 1.52-1.65
P (0.3871, 0.9502, 0.1906)  4 O 1.52-1.64
Co (0.5110, 0.9955, 0.3708)  4 O 1.98
O (0.9851, 0.4181, 0.8887)  2 P 1.64-1.65
O (0.1482, 0.8886, 0.4520)  1 P 1.52
O (0.9064, 0.3887, 0.2202)  1 P 1.54
O (0.3471, 0.1109, 0.9230)  1 P 1.54
O (0.4851, 0.5819, 0.1113)  2 P 1.64-1.65
O (0.3819, 0.4047, 0.6880)  1 P 1.52
P (0.8862, 0.4765, 0.8043)  4 O 1.52-1.65
O (0.4780, 0.9131, 0.7723)  1 P 1.55
P (0.6475, 0.5337, 0.0528)  4 O 1.52-1.64
O (0.2062, 0.9177, 0.6860)  1 P 1.54
O (0.8819, 0.9047, 0.8120)  1 P 1.52
O (0.7376, 0.3849, 0.3573)  1 P 1.55
O (0.3943, 0.3783, 0.1940)  1 P 1.52
O (0.9851, 0.0819, 0.3887)  2 P 1.64-1.65
O (0.8819, 0.5953, 0.3120)  1 P 1.52
P (0.6725, 0.9545, 0.0616)  4 O 1.52-1.64
P (0.3862, 0.5235, 0.1957)  4 O 1.52-1.65
O (0.7062, 0.0823, 0.3140)  1 P 1.54
O (0.5878, 0.8949, 0.9818)  1 P 1.54
O (0.1482, 0.6113, 0.9520)  1 P 1.52
Co (0.0110, 0.4955, 0.1292)  4 O 1.98
Na (0.8841, 0.7498, 0.4484)  6 O 2.50-2.77
O (0.0608, 0.1016, 0.8575)  2 P 1.64
O (0.5878, 0.6051, 0.4818)  1 P 1.54
Na (0.8277, 0.2534, 0.4750)  5 O 2.34-2.60
Co (0.0368, 0.9971, 0.1194)  4 O 1.98-1.99
Na (0.2178, 0.2340, 0.2737)  5 O 2.35-2.61
O (0.6102, 0.6021, 0.9672)  1 P 1.54
Na (0.1667, 0.7629, 0.8039)  5 O 2.47-2.67
O (0.6482, 0.3886, 0.0480)  1 P 1.52
O (0.3471, 0.3891, 0.4230)  1 P 1.54
O (0.3064, 0.0956, 0.4054)  1 P 1.54
O (0.5608, 0.6016, 0.6425)  2 P 1.64
Na (0.6667, 0.2371, 0.1961)  5 O 2.47-2.67
Co (0.5368, 0.0029, 0.8806)  4 O 1.98-1.99
O (0.7062, 0.4177, 0.8140)  1 P 1.54
Na (0.3277, 0.7534, 0.0250)  5 O 2.34-2.60
P (0.8871, 0.0498, 0.8094)  4 O 1.52-1.64
O (0.0608, 0.3984, 0.3575)  2 P 1.64
O (0.9780, 0.4131, 0.7277)  1 P 1.55
O (0.8064, 0.9044, 0.5946)  1 P 1.54
O (0.5608, 0.8984, 0.1425)  2 P 1.64
Co (0.0368, 0.5029, 0.6194)  4 O 1.98-1.99
Co (0.5368, 0.4971, 0.3806)  4 O 1.98-1.99
Na (0.3277, 0.7466, 0.5250)  5 O 2.34-2.60
O (0.9780, 0.0869, 0.2277)  1 P 1.55
O (0.0878, 0.1051, 0.0182)  1 P 1.54
Na (0.2178, 0.2660, 0.7737)  5 O 2.35-2.61
O (0.4064, 0.6113, 0.7798)  1 P 1.54
P (0.1725, 0.0455, 0.9384)  4 O 1.52-1.64
O (0.8943, 0.8783, 0.3060)  1 P 1.52
Na (0.3841, 0.2498, 0.0516)  6 O 2.50-2.77
O (0.6748, 0.0996, 0.0650)  1 P 1.52
O (0.9064, 0.1113, 0.7202)  1 P 1.54
O (0.8943, 0.6217, 0.8060)  1 P 1.52
O (0.7376, 0.1151, 0.8573)  1 P 1.55
O (0.2062, 0.5823, 0.1860)  1 P 1.54
P (0.1475, 0.0337, 0.4472)  4 O 1.52-1.64
O (0.3064, 0.4044, 0.9054)  1 P 1.54
O (0.4780, 0.5869, 0.2723)  1 P 1.55
P (0.8871, 0.4502, 0.3094)  4 O 1.52-1.64
Co (0.5110, 0.5045, 0.8708)  4 O 1.98
O (0.6102, 0.8979, 0.4672)  1 P 1.54
O (0.2376, 0.6151, 0.6427)  1 P 1.55
O (0.8064, 0.5956, 0.0946)  1 P 1.54
O (0.1102, 0.1021, 0.5328)  1 P 1.54
Co (0.0110, 0.0045, 0.6292)  4 O 1.98
O (0.4851, 0.9181, 0.6113)  2 P 1.64-1.65
O (0.2376, 0.8849, 0.1427)  1 P 1.55
P (0.3871, 0.5498, 0.6906)  4 O 1.52-1.64

Values from the calculation:
The crystal system is orthorhombic. As for the energy relative to the lowest polymorph listed for this composition: 0.0000 eV per atom. The value obtained for the magnetic moment is 3.00 μB per formula unit.

***

Number 1: calculated total energy -5.9170 eV/atom, volume 17.97 Å³/atom, energy relative to the elements -2.209 eV/atom. Number 2: calculated total energy -5.6588 eV/atom, volume 21.33 Å³/atom, energy relative to the elements -1.630 eV/atom. Number 3: calculated total energy -7.1204 eV/atom, volume 10.33 Å³/atom, energy relative to the elements -2.100 eV/atom. Number 4: calculated total energy -6.5361 eV/atom, volume 13.27 Å³/atom, energy relative to the elements -2.472 eV/atom.